# Ca5V3ClO12

An optimized crystal structure of Ca5V3ClO12 (GGA+U, the Materials Project database).

CIF file:
```
data_Ca5V3ClO12
_chemical_formula_sum 'Ca10 V6 Cl2 O24'
_symmetry_space_group_name_H-M 'P 1'
_symmetry_Int_Tables_number 1
_cell_length_a 10.326
_cell_length_b 10.326
_cell_length_c 6.760
_cell_angle_alpha 90.00
_cell_angle_beta 90.00
_cell_angle_gamma 120.00
loop_
_symmetry_equiv_pos_as_xyz
'x,y,z'
loop_
_atom_site_label
_atom_site_type_symbol
_atom_site_fract_x
_atom_site_fract_y
_atom_site_fract_z
O1 O 0.652 0.913 0.548
Ca1 Ca 0.267 0.235 0.250
O2 O 0.841 0.489 0.750
Ca2 Ca 0.968 0.733 0.250
O3 O 0.511 0.352 0.750
Ca3 Ca 0.235 0.968 0.750
O4 O 0.087 0.739 0.952
O5 O 0.468 0.609 0.750
O6 O 0.261 0.348 0.952
O7 O 0.648 0.159 0.750
Ca4 Ca 0.667 0.333 0.996
O8 O 0.913 0.261 0.048
O9 O 0.261 0.348 0.548
O10 O 0.391 0.859 0.750
O11 O 0.913 0.261 0.452
Cl1 Cl 0.000 0.000 0.000
O12 O 0.739 0.652 0.048
O13 O 0.352 0.841 0.250
Cl2 Cl 0.000 0.000 0.500
V1 V 0.382 0.412 0.750
O14 O 0.141 0.532 0.750
Ca5 Ca 0.333 0.667 0.496
V2 V 0.618 0.588 0.250
O15 O 0.348 0.087 0.452
Ca6 Ca 0.667 0.333 0.504
Ca7 Ca 0.032 0.267 0.750
O16 O 0.348 0.087 0.048
O17 O 0.652 0.913 0.952
Ca8 Ca 0.765 0.032 0.250
Ca9 Ca 0.333 0.667 0.004
V3 V 0.030 0.618 0.750
V4 V 0.588 0.970 0.750
Ca10 Ca 0.733 0.765 0.750
O18 O 0.859 0.468 0.250
O19 O 0.532 0.391 0.250
O20 O 0.087 0.739 0.548
O21 O 0.609 0.141 0.250
O22 O 0.159 0.511 0.250
V5 V 0.412 0.030 0.250
V6 V 0.970 0.382 0.250
O23 O 0.739 0.652 0.452
O24 O 0.489 0.648 0.250
```

Properties
Space group: P6_3/m, No. 176
Formation energy from the elements in eV per atom: -3.001
V in Å³/atom: 14.862
Crystal system: hexagonal